Material: Li4Ti15O32
Method: DFT, PBE
State: optimized geometry

Geometry as POSCAR:
```
Li4Ti15O32
1.0
2.989 1.726 19.375
-2.989 1.726 19.375
0.000 -3.451 19.375
Li Ti O
4 15 32
Cartesian
0.000 0.000 5.481
0.000 0.000 9.051
0.000 0.000 49.075
0.000 0.000 52.645
0.000 0.000 0.000
0.000 -1.708 16.950
-1.479 0.854 16.950
-1.440 -0.831 26.744
0.000 0.000 14.462
0.000 -1.662 31.383
-1.440 0.831 31.383
-1.479 -0.854 41.176
1.479 0.854 16.950
1.440 -0.831 26.744
0.000 1.662 26.744
0.000 0.000 43.665
1.440 0.831 31.383
1.479 -0.854 41.176
0.000 1.708 41.176
-1.677 -0.968 22.915
0.000 0.000 3.477
0.000 -1.520 13.285
-1.317 0.760 13.285
0.000 -1.950 20.674
-1.689 0.975 20.674
0.000 0.000 11.056
-1.440 -0.832 30.499
-1.689 -0.975 37.452
0.000 0.000 17.956
0.000 -1.663 27.627
-1.440 0.832 27.627
0.000 -1.936 35.211
-1.677 0.968 35.211
0.000 0.000 25.680
-1.317 -0.760 44.842
1.317 0.760 13.285
0.000 0.000 32.446
1.677 -0.968 22.915
0.000 1.936 22.915
1.440 -0.832 30.499
0.000 1.663 30.499
0.000 0.000 40.170
1.689 0.975 20.674
1.440 0.832 27.627
0.000 0.000 47.071
1.689 -0.975 37.452
0.000 1.950 37.452
1.317 -0.760 44.842
0.000 1.520 44.842
0.000 0.000 54.649
1.677 0.968 35.211
```

Results
final energy: -0.31012 Ha/atom
total energy after the MP2020 corrections: -8.87 eV/atom
crystal system: trigonal
space-group type: R-3m
DFT formation energy: -3.293 eV per atom
M_tot: 0.0 Bohr magnetons per cell



Material: Li2Ti7O15
Method: DFT, PBE
State: optimized geometry

Geometry as POSCAR:
```
Li2Ti7O15
1.0
9.122 -1.495 0.000
9.122 1.495 0.000
-1.452 0.000 9.443
Li Ti O
2 7 15
Cartesian
2.575 0.000 2.111
14.218 0.000 7.332
-0.726 0.000 4.722
2.150 0.000 8.489
5.146 0.000 4.239
7.833 0.000 7.927
8.959 0.000 1.517
11.647 0.000 5.205
14.642 0.000 0.954
0.000 0.000 0.000
-0.802 0.000 6.714
2.427 0.000 6.461
3.043 0.000 4.011
4.066 0.000 0.917
6.680 0.000 1.015
6.171 0.000 7.578
7.073 0.000 4.644
9.720 0.000 4.800
10.621 0.000 1.865
10.113 0.000 8.428
12.727 0.000 8.526
13.749 0.000 5.432
14.366 0.000 2.982
17.595 0.000 2.729
```

Results
final energy: -0.30953 Ha/atom
total energy after the MP2020 corrections: -8.85 eV/atom
crystal system: monoclinic
space-group type: C2/m
DFT formation energy: -3.298 eV per atom
M_tot: 0.0 Bohr magnetons per cell